No. 1
Density functional theory data (r²SCAN) for a relaxed structure of Er2NiIr.

SG: Fm-3m, No. 225
Crystal system: cubic
Uncorrected energy in eV per atom: -33.80

a b c (Å): 6.695 6.695 6.695
angles (deg): 90.00 90.00 90.00
Fractional coordinates of all 16 atoms:
Er 0.250 0.250 0.250
Er 0.250 0.250 0.750
Er 0.250 0.750 0.250
Er 0.250 0.750 0.750
Er 0.750 0.250 0.250
Er 0.750 0.250 0.750
Er 0.750 0.750 0.250
Er 0.750 0.750 0.750
Ni 0.000 0.000 0.000
Ni 0.000 0.500 0.500
Ni 0.500 0.000 0.500
Ni 0.500 0.500 0.000
Ir 0.000 0.000 0.500
Ir 0.000 0.500 0.000
Ir 0.500 0.000 0.000
Ir 0.500 0.500 0.500

=====

No. 2
Density functional theory data (r²SCAN) for a relaxed structure of Er5P12Ir19.

SG: P-62m, No. 189
Crystal system: hexagonal
Uncorrected energy in eV per atom: -36.23

a b c (Å): 12.623 12.623 3.951
angles (deg): 90.00 90.00 120.00
Fractional coordinates of all 36 atoms:
Er 0.000 0.182 0.000
Er 0.182 0.000 0.000
Er 0.333 0.667 0.500
Er 0.667 0.333 0.500
Er 0.818 0.818 0.000
P 0.000 0.355 0.500
P 0.000 0.822 0.500
P 0.171 0.688 0.000
P 0.178 0.178 0.500
P 0.312 0.483 0.000
P 0.355 0.000 0.500
P 0.483 0.312 0.000
P 0.517 0.829 0.000
P 0.645 0.645 0.500
P 0.688 0.171 0.000
P 0.822 0.000 0.500
P 0.829 0.517 0.000
Ir 0.000 0.000 0.500
Ir 0.000 0.534 0.500
Ir 0.000 0.715 0.000
Ir 0.134 0.494 0.000
Ir 0.181 0.807 0.500
Ir 0.193 0.374 0.500
Ir 0.285 0.285 0.000
Ir 0.360 0.866 0.000
Ir 0.374 0.193 0.500
Ir 0.466 0.466 0.500
Ir 0.494 0.134 0.000
Ir 0.506 0.640 0.000
Ir 0.534 0.000 0.500
Ir 0.626 0.819 0.500
Ir 0.640 0.506 0.000
Ir 0.715 0.000 0.000
Ir 0.807 0.181 0.500
Ir 0.819 0.626 0.500
Ir 0.866 0.360 0.000

=====

No. 3
Density functional theory data (r²SCAN) for a relaxed structure of ErSbIr.

SG: Pnma, No. 62
Crystal system: orthorhombic
Uncorrected energy in eV per atom: -38.34

a b c (Å): 7.093 4.495 7.817
angles (deg): 90.00 90.00 90.00
Fractional coordinates of all 12 atoms:
Er 0.011 0.250 0.193
Er 0.489 0.750 0.693
Er 0.511 0.250 0.307
Er 0.989 0.750 0.807
Sb 0.179 0.250 0.589
Sb 0.321 0.750 0.089
Sb 0.679 0.250 0.911
Sb 0.821 0.750 0.411
Ir 0.210 0.750 0.413
Ir 0.290 0.250 0.913
Ir 0.710 0.750 0.087
Ir 0.790 0.250 0.587

=====

No. 4
Density functional theory data (r²SCAN) for a relaxed structure of Er4Si9Ir13.

SG: Pmmn, No. 59
Crystal system: orthorhombic
Uncorrected energy in eV per atom: -35.52

a b c (Å): 3.932 10.930 18.884
angles (deg): 90.00 90.00 90.00
Fractional coordinates of all 52 atoms:
Er 0.250 0.059 0.208
Er 0.250 0.250 0.022
Er 0.250 0.441 0.208
Er 0.250 0.750 0.519
Er 0.750 0.250 0.481
Er 0.750 0.559 0.792
Er 0.750 0.750 0.978
Er 0.750 0.941 0.792
Si 0.250 0.068 0.415
Si 0.250 0.124 0.729
Si 0.250 0.250 0.603
Si 0.250 0.376 0.729
Si 0.250 0.432 0.415
Si 0.250 0.562 0.920
Si 0.250 0.750 0.102
Si 0.250 0.750 0.732
Si 0.250 0.938 0.920
Si 0.750 0.062 0.080
Si 0.750 0.250 0.268
Si 0.750 0.250 0.898
Si 0.750 0.438 0.080
Si 0.750 0.568 0.585
Si 0.750 0.624 0.271
Si 0.750 0.750 0.397
Si 0.750 0.876 0.271
Si 0.750 0.932 0.585
Ir 0.250 0.062 0.539
Ir 0.250 0.125 0.856
Ir 0.250 0.250 0.343
Ir 0.250 0.375 0.856
Ir 0.250 0.438 0.539
Ir 0.250 0.550 0.047
Ir 0.250 0.566 0.665
Ir 0.250 0.622 0.356
Ir 0.250 0.750 0.227
Ir 0.250 0.750 0.858
Ir 0.250 0.878 0.356
Ir 0.250 0.934 0.665
Ir 0.250 0.950 0.047
Ir 0.750 0.050 0.953
Ir 0.750 0.066 0.335
Ir 0.750 0.122 0.644
Ir 0.750 0.250 0.142
Ir 0.750 0.250 0.773
Ir 0.750 0.378 0.644
Ir 0.750 0.434 0.335
Ir 0.750 0.450 0.953
Ir 0.750 0.562 0.461
Ir 0.750 0.625 0.144
Ir 0.750 0.750 0.657
Ir 0.750 0.875 0.144
Ir 0.750 0.938 0.461

=====

No. 5
Density functional theory data (r²SCAN) for a relaxed structure of TbErIr2.

SG: Fm-3m, No. 225
Crystal system: cubic
Uncorrected energy in eV per atom: -43.42

a b c (Å): 6.800 6.800 6.800
angles (deg): 90.00 90.00 90.00
Fractional coordinates of all 16 atoms:
Tb 0.000 0.000 0.000
Tb 0.000 0.500 0.500
Tb 0.500 0.000 0.500
Tb 0.500 0.500 0.000
Er 0.000 0.000 0.500
Er 0.000 0.500 0.000
Er 0.500 0.000 0.000
Er 0.500 0.500 0.500
Ir 0.250 0.250 0.250
Ir 0.250 0.250 0.750
Ir 0.250 0.750 0.250
Ir 0.250 0.750 0.750
Ir 0.750 0.250 0.250
Ir 0.750 0.250 0.750
Ir 0.750 0.750 0.250
Ir 0.750 0.750 0.750

=====

No. 6
Density functional theory data (r²SCAN) for a relaxed structure of YErIr2.

SG: Fm-3m, No. 225
Crystal system: cubic
Uncorrected energy in eV per atom: -40.69

a b c (Å): 6.792 6.792 6.792
angles (deg): 90.00 90.00 90.00
Fractional coordinates of all 16 atoms:
Y 0.000 0.000 0.000
Y 0.000 0.500 0.500
Y 0.500 0.000 0.500
Y 0.500 0.500 0.000
Er 0.000 0.000 0.500
Er 0.000 0.500 0.000
Er 0.500 0.000 0.000
Er 0.500 0.500 0.500
Ir 0.250 0.250 0.250
Ir 0.250 0.250 0.750
Ir 0.250 0.750 0.250
Ir 0.250 0.750 0.750
Ir 0.750 0.250 0.250
Ir 0.750 0.250 0.750
Ir 0.750 0.750 0.250
Ir 0.750 0.750 0.750

=====

No. 7
Density functional theory data (r²SCAN) for a relaxed structure of KErMo2O8.

SG: C2/c, No. 15
Crystal system: monoclinic
Uncorrected energy in eV per atom: -14.32

a b c (Å): 7.335 7.335 7.660
angles (deg): 118.29 118.29 87.87
Fractional coordinates of all 24 atoms:
K 0.196 0.804 0.750
K 0.804 0.196 0.250
Er 0.230 0.770 0.250
Er 0.770 0.230 0.750
Mo 0.299 0.306 0.758
Mo 0.306 0.299 0.258
Mo 0.694 0.701 0.742
Mo 0.701 0.694 0.242
O 0.047 0.202 0.693
O 0.071 0.385 0.122
O 0.202 0.047 0.193
O 0.225 0.392 0.561
O 0.366 0.583 0.031
O 0.385 0.071 0.622
O 0.392 0.225 0.061
O 0.417 0.634 0.469
O 0.583 0.366 0.531
O 0.608 0.775 0.939
O 0.615 0.929 0.378
O 0.634 0.417 0.969
O 0.775 0.608 0.439
O 0.798 0.953 0.807
O 0.929 0.615 0.878
O 0.953 0.798 0.307

=====

No. 8
Density functional theory data (r²SCAN) for a relaxed structure of KErO2.

SG: R-3m, No. 166
Crystal system: trigonal
Uncorrected energy in eV per atom: -16.06

a b c (Å): 3.408 3.408 18.522
angles (deg): 90.00 90.00 120.00
Fractional coordinates of all 12 atoms:
K 0.000 0.000 0.000
K 0.333 0.667 0.667
K 0.667 0.333 0.333
Er 0.000 0.000 0.500
Er 0.333 0.667 0.167
Er 0.667 0.333 0.833
O 0.000 0.000 0.228
O 0.000 0.000 0.772
O 0.333 0.667 0.438
O 0.333 0.667 0.895
O 0.667 0.333 0.105
O 0.667 0.333 0.562

=====

no.,magnetization (μB per formula unit)
1,0.00
2,0.00
3,0.00
4,0.00
5,0.00
6,0.25
7,0.00
8,0.00